No. 1
First-principles (PBE) data for a relaxed CaSmEuSbO6 crystal, as listed in Materials Project.

## Properties
E (MP2020) = -8.052 eV/atom
SG = No. 16
E above lowest polymorph = 0 meV/atom
total moment = 0.6996 μB per atom
formation energy = -2.97 eV/atom

Unit cell a=8.4231 b=8.4364 c=8.4447 alpha=90.00 beta=90.00 gamma=90.00
Atoms (fractional coordinates):
Ca (0.0000, 0.0000, 0.0000)
Ca (0.0000, 0.5000, 0.0000)
Ca (0.5000, 0.0000, 0.0000)
Ca (0.5000, 0.5000, 0.5000)
Sm (0.2500, 0.2500, 0.7513)
Sm (0.2500, 0.7500, 0.2487)
Sm (0.7500, 0.2500, 0.2487)
Sm (0.7500, 0.7500, 0.7513)
Eu (0.0000, 0.0000, 0.5000)
Eu (0.0000, 0.5000, 0.5000)
Eu (0.5000, 0.0000, 0.5000)
Eu (0.5000, 0.5000, 0.0000)
Sb (0.2500, 0.2501, 0.2481)
Sb (0.2500, 0.7499, 0.7519)
Sb (0.7500, 0.2501, 0.7519)
Sb (0.7500, 0.7499, 0.2481)
O (0.0175, 0.2014, 0.2873)
O (0.0175, 0.7986, 0.7127)
O (0.1974, 0.2934, 0.0169)
O (0.1974, 0.7066, 0.9831)
O (0.2136, 0.4829, 0.2977)
O (0.2136, 0.5171, 0.7023)
O (0.2924, 0.0177, 0.1967)
O (0.2924, 0.9823, 0.8033)
O (0.2963, 0.2124, 0.4820)
O (0.2963, 0.7876, 0.5180)
O (0.4830, 0.2978, 0.2123)
O (0.4830, 0.7022, 0.7877)
O (0.5170, 0.2978, 0.7877)
O (0.5170, 0.7022, 0.2123)
O (0.7037, 0.2124, 0.5180)
O (0.7037, 0.7876, 0.4820)
O (0.7076, 0.0177, 0.8033)
O (0.7076, 0.9823, 0.1967)
O (0.7864, 0.4829, 0.7023)
O (0.7864, 0.5171, 0.2977)
O (0.8026, 0.2934, 0.9831)
O (0.8026, 0.7066, 0.0169)
O (0.9825, 0.2014, 0.7127)
O (0.9825, 0.7986, 0.2873)

***

No. 2
First-principles (PBE) data for a relaxed CaEuZrSnO6 crystal, as listed in Materials Project.

## Properties
E (MP2020) = -8.486 eV/atom
SG = No. 216
total moment = 0.7000 μB per atom
formation energy = -3.03 eV/atom

Unit cell a=5.8394 b=5.8394 c=5.8394 alpha=60.00 beta=60.00 gamma=60.00
Atoms (fractional coordinates):
Ca (0.0000, 0.0000, 0.0000)
Eu (0.5000, 0.5000, 0.5000)
Zr (0.2500, 0.2500, 0.2500)
Sn (0.7500, 0.7500, 0.7500)
O (0.5014, 0.5014, 0.9986)
O (0.5014, 0.9986, 0.5014)
O (0.5014, 0.9986, 0.9986)
O (0.9986, 0.5014, 0.5014)
O (0.9986, 0.5014, 0.9986)
O (0.9986, 0.9986, 0.5014)

***

No. 3
First-principles (PBE) data for a relaxed CaEuTi4O12 crystal, as listed in Materials Project.

## Properties
E (MP2020) = -8.772 eV/atom
SG = No. 38
total moment = 0.4988 μB per atom
formation energy = -3.04 eV/atom

Unit cell a=7.7790 b=5.4839 c=5.4839 alpha=89.86 beta=90.00 gamma=90.00
Atoms (fractional coordinates):
Ca (0.0000, 0.0000, 0.0000)
Eu (0.5000, 0.5127, 0.5127)
Ti (0.2476, 0.0094, 0.5046)
Ti (0.2476, 0.5046, 0.0094)
Ti (0.7524, 0.0094, 0.5046)
Ti (0.7524, 0.5046, 0.0094)
O (0.0000, 0.5374, 0.9928)
O (0.0000, 0.9928, 0.5374)
O (0.2246, 0.2305, 0.2305)
O (0.2598, 0.2808, 0.7334)
O (0.2598, 0.7334, 0.2808)
O (0.2697, 0.7709, 0.7709)
O (0.5000, 0.0335, 0.4885)
O (0.5000, 0.4885, 0.0335)
O (0.7303, 0.7709, 0.7709)
O (0.7402, 0.2808, 0.7334)
O (0.7402, 0.7334, 0.2808)
O (0.7754, 0.2305, 0.2305)

***

No. 4
First-principles (PBE) data for a relaxed CaEuZr2O6 crystal, as listed in Materials Project.

## Properties
E (MP2020) = -9.497 eV/atom
SG = No. 65
total moment = 0.6999 μB per atom
formation energy = -3.59 eV/atom

Unit cell a=5.7659 b=5.7659 c=4.2100 alpha=90.00 beta=90.00 gamma=90.25
Atoms (fractional coordinates):
Ca (0.0000, 0.0000, 0.0000)
Eu (0.5000, 0.5000, 0.0000)
Zr (0.0000, 0.5000, 0.5000)
Zr (0.5000, 0.0000, 0.5000)
O (0.0000, 0.5000, 0.0000)
O (0.1768, 0.1768, 0.5000)
O (0.3203, 0.6797, 0.5000)
O (0.5000, 0.0000, 0.0000)
O (0.6797, 0.3203, 0.5000)
O (0.8232, 0.8232, 0.5000)

***

No. 5
First-principles (PBE) data for a relaxed SrCaEu2 crystal, as listed in Materials Project.

## Properties
SG = No. 225
total moment = 3.6140 μB per atom
formation energy = 0.04 eV/atom

Unit cell a=6.3439 b=6.3439 c=6.3439 alpha=60.00 beta=60.00 gamma=60.00
Atoms (fractional coordinates):
Sr (0.0000, 0.0000, 0.0000)
Ca (0.5000, 0.5000, 0.5000)
Eu (0.2500, 0.2500, 0.2500)
Eu (0.7500, 0.7500, 0.7500)

***

No. 6
First-principles (PBE) data for a relaxed Sr2CaEu crystal, as listed in Materials Project.

## Properties
SG = No. 225
total moment = 1.9350 μB per atom
formation energy = 0.03 eV/atom

Unit cell a=6.4844 b=6.4844 c=6.4844 alpha=60.00 beta=60.00 gamma=60.00
Atoms (fractional coordinates):
Sr (0.2500, 0.2500, 0.2500)
Sr (0.7500, 0.7500, 0.7500)
Ca (0.0000, 0.0000, 0.0000)
Eu (0.5000, 0.5000, 0.5000)

***

No. 7
First-principles (PBE) data for a relaxed CaEuTl2 crystal, as listed in Materials Project.

## Properties
SG = No. 225
formation energy = -0.45 eV/atom

Unit cell a=5.5532 b=5.5532 c=5.5532 alpha=60.00 beta=60.00 gamma=60.00
Atoms (fractional coordinates):
Ca (0.0000, 0.0000, 0.0000)
Eu (0.5000, 0.5000, 0.5000)
Tl (0.2500, 0.2500, 0.2500)
Tl (0.7500, 0.7500, 0.7500)

***

No. 8
First-principles (PBE) data for a relaxed CaEuZn2 crystal, as listed in Materials Project.

## Properties
SG = No. 225
formation energy = -0.26 eV/atom

Unit cell a=5.2478 b=5.2478 c=5.2478 alpha=60.00 beta=60.00 gamma=60.00
Atoms (fractional coordinates):
Ca (0.0000, 0.0000, 0.0000)
Eu (0.5000, 0.5000, 0.5000)
Zn (0.2500, 0.2500, 0.2500)
Zn (0.7500, 0.7500, 0.7500)